<A>
Nb3Cl6O8: relaxed, PBE-GGA. Values from VASP.

The structure in Quantum ESPRESSO input format:
```
&SYSTEM
  ibrav = 0, nat = 34, ntyp = 3
/
ATOMIC_SPECIES
Nb 92.91 Nb.upf
Cl 35.45 Cl.upf
O 16.00 O.upf
CELL_PARAMETERS angstrom
0.000 8.323 8.323
8.323 0.000 8.323
8.323 8.323 0.000
ATOMIC_POSITIONS crystal
Nb 0.137 0.137 0.863
Nb 0.137 0.863 0.137
Nb 0.137 0.863 0.863
Nb 0.863 0.137 0.137
Nb 0.863 0.137 0.863
Nb 0.863 0.863 0.137
Cl 0.000 0.000 0.416
Cl 0.000 0.000 0.584
Cl 0.000 0.416 0.000
Cl 0.000 0.416 0.584
Cl 0.000 0.584 0.000
Cl 0.000 0.584 0.416
Cl 0.416 0.000 0.000
Cl 0.416 0.000 0.584
Cl 0.416 0.584 0.000
Cl 0.584 0.000 0.000
Cl 0.584 0.000 0.416
Cl 0.584 0.416 0.000
O 0.079 0.079 0.079
O 0.079 0.079 0.762
O 0.079 0.762 0.079
O 0.238 0.921 0.921
O 0.241 0.241 0.759
O 0.241 0.759 0.241
O 0.241 0.759 0.759
O 0.250 0.250 0.250
O 0.750 0.750 0.750
O 0.759 0.241 0.241
O 0.759 0.241 0.759
O 0.759 0.759 0.241
O 0.762 0.079 0.079
O 0.921 0.238 0.921
O 0.921 0.921 0.238
O 0.921 0.921 0.921
```

Calculated values
Crystal system: cubic
Space group: No. 225
Density: 1.8 g/cm3
M_tot: 3.63 Bohr magnetons per cell

<B>
Nb3Cl6O8: relaxed, PBE-GGA. Values from VASP.

The structure in Quantum ESPRESSO input format:
```
&SYSTEM
  ibrav = 0, nat = 34, ntyp = 3
/
ATOMIC_SPECIES
Nb 92.91 Nb.upf
Cl 35.45 Cl.upf
O 16.00 O.upf
CELL_PARAMETERS angstrom
11.258 0.000 0.000
5.262 10.519 0.000
5.226 -2.229 10.556
ATOMIC_POSITIONS crystal
Nb 0.000 0.000 0.000
Nb 0.002 0.008 0.736
Nb 0.006 0.730 0.004
Nb 0.009 0.740 0.741
Nb 0.292 0.750 0.753
Nb 0.715 0.994 0.992
Cl 0.079 0.828 0.402
Cl 0.086 0.388 0.822
Cl 0.436 0.804 0.810
Cl 0.447 0.403 0.823
Cl 0.448 0.819 0.400
Cl 0.452 0.445 0.445
Cl 0.559 0.301 0.296
Cl 0.562 0.917 0.338
Cl 0.566 0.945 0.938
Cl 0.567 0.332 0.915
Cl 0.915 0.355 0.925
Cl 0.931 0.913 0.338
O 0.002 0.115 0.632
O 0.006 0.624 0.107
O 0.015 0.635 0.637
O 0.138 0.979 0.815
O 0.140 0.810 0.979
O 0.162 0.814 0.657
O 0.164 0.652 0.813
O 0.447 0.626 0.628
O 0.508 0.130 0.621
O 0.516 0.618 0.129
O 0.564 0.118 0.118
O 0.845 0.088 0.928
O 0.848 0.926 0.084
O 0.869 0.929 0.761
O 0.870 0.761 0.926
O 0.995 0.104 0.103
```

Calculated values
Crystal system: triclinic
Space group: No. 1
Density: 1.6 g/cm3
M_tot: 4.00 Bohr magnetons per cell

<B> has the most favorable energy; the next structure is 0.144 eV/atom above.

<A>
Rb2Nb3Cl7O5: relaxed, PBE-GGA. Values from VASP.

The structure in Quantum ESPRESSO input format:
```
&SYSTEM
  ibrav = 0, nat = 34, ntyp = 4
/
ATOMIC_SPECIES
Rb 85.47 Rb.upf
Nb 92.91 Nb.upf
Cl 35.45 Cl.upf
O 16.00 O.upf
CELL_PARAMETERS angstrom
8.641 -4.518 0.000
8.641 4.518 0.000
-4.087 0.000 10.561
ATOMIC_POSITIONS crystal
Rb 0.162 0.242 0.356
Rb 0.242 0.162 0.856
Rb 0.758 0.838 0.144
Rb 0.838 0.758 0.644
Nb 0.209 0.786 0.026
Nb 0.214 0.791 0.474
Nb 0.465 0.535 0.750
Nb 0.535 0.465 0.250
Nb 0.786 0.209 0.526
Nb 0.791 0.214 0.974
Cl 0.057 0.637 0.958
Cl 0.062 0.640 0.375
Cl 0.093 0.907 0.250
Cl 0.281 0.422 0.669
Cl 0.360 0.938 0.125
Cl 0.363 0.943 0.542
Cl 0.422 0.281 0.169
Cl 0.578 0.719 0.831
Cl 0.637 0.057 0.458
Cl 0.640 0.062 0.875
Cl 0.719 0.578 0.331
Cl 0.907 0.093 0.750
Cl 0.938 0.360 0.625
Cl 0.943 0.363 0.042
O 0.000 0.000 0.000
O 0.000 0.000 0.500
O 0.287 0.711 0.879
O 0.289 0.713 0.621
O 0.396 0.601 0.126
O 0.399 0.604 0.374
O 0.601 0.396 0.626
O 0.604 0.399 0.874
O 0.711 0.287 0.379
O 0.713 0.289 0.121
```

Calculated values
Crystal system: monoclinic
Space group: No. 15
Density: 3.1 g/cm3
M_tot: 0.00 Bohr magnetons per cell

<B>
Rb2Nb3Cl7O5: relaxed, PBE-GGA. Values from VASP.

The structure in Quantum ESPRESSO input format:
```
&SYSTEM
  ibrav = 0, nat = 34, ntyp = 4
/
ATOMIC_SPECIES
Rb 85.47 Rb.upf
Nb 92.91 Nb.upf
Cl 35.45 Cl.upf
O 16.00 O.upf
CELL_PARAMETERS angstrom
9.037 0.000 0.000
-4.518 8.641 0.000
0.000 -4.087 10.561
ATOMIC_POSITIONS crystal
Rb 0.000 0.000 0.000
Rb 0.084 0.993 0.496
Rb 0.599 0.194 0.786
Rb 0.682 0.189 0.282
Nb 0.047 0.582 0.667
Nb 0.060 0.603 0.117
Nb 0.306 0.596 0.396
Nb 0.375 0.588 0.888
Nb 0.628 0.583 0.165
Nb 0.636 0.599 0.619
Cl 0.122 0.294 0.314
Cl 0.196 0.889 0.768
Cl 0.202 0.900 0.188
Cl 0.256 0.291 0.809
Cl 0.414 0.890 0.470
Cl 0.479 0.298 0.515
Cl 0.483 0.288 0.101
Cl 0.558 0.893 0.970
Cl 0.753 0.597 0.390
Cl 0.778 0.895 0.683
Cl 0.783 0.897 0.267
Cl 0.891 0.286 0.600
Cl 0.901 0.288 0.015
Cl 0.931 0.594 0.895
O 0.125 0.590 0.524
O 0.129 0.596 0.267
O 0.235 0.596 0.015
O 0.243 0.593 0.769
O 0.438 0.586 0.263
O 0.440 0.597 0.513
O 0.549 0.586 0.016
O 0.549 0.595 0.763
O 0.835 0.593 0.641
O 0.846 0.592 0.140
```

Calculated values
Crystal system: triclinic
Space group: No. 1
Density: 3.1 g/cm3
M_tot: 0.00 Bohr magnetons per cell

<A> has the most favorable energy; the next structure is 0.013 eV/atom above.

<A>
SrNd10Se12Cl8O36: relaxed, PBE-GGA. Values from VASP.

The structure in Quantum ESPRESSO input format:
```
&SYSTEM
  ibrav = 0, nat = 134, ntyp = 5
/
ATOMIC_SPECIES
Sr 87.62 Sr.upf
Nd 144.24 Nd.upf
Se 78.96 Se.upf
Cl 35.45 Cl.upf
O 16.00 O.upf
CELL_PARAMETERS angstrom
9.081 -7.955 0.000
9.081 7.955 0.000
-0.020 0.000 16.032
ATOMIC_POSITIONS crystal
Sr 0.132 0.868 0.500
Sr 0.868 0.132 0.000
Nd 0.167 0.194 0.118
Nd 0.179 0.180 0.870
Nd 0.180 0.179 0.370
Nd 0.194 0.167 0.618
Nd 0.225 0.486 0.240
Nd 0.375 0.638 0.738
Nd 0.429 0.932 0.383
Nd 0.430 0.932 0.856
Nd 0.432 0.931 0.120
Nd 0.486 0.225 0.740
Nd 0.638 0.375 0.238
Nd 0.668 0.694 0.619
Nd 0.681 0.681 0.370
Nd 0.681 0.681 0.870
Nd 0.694 0.668 0.119
Nd 0.727 0.986 0.500
Nd 0.931 0.432 0.620
Nd 0.932 0.429 0.883
Nd 0.932 0.430 0.356
Nd 0.986 0.727 0.000
Se 0.154 0.434 0.010
Se 0.161 0.958 0.997
Se 0.178 0.434 0.470
Se 0.185 0.929 0.268
Se 0.203 0.404 0.742
Se 0.209 0.931 0.731
Se 0.404 0.203 0.242
Se 0.427 0.684 0.970
Se 0.431 0.708 0.508
Se 0.434 0.154 0.510
Se 0.434 0.178 0.970
Se 0.458 0.659 0.242
Se 0.654 0.933 0.730
Se 0.659 0.458 0.742
Se 0.678 0.934 0.269
Se 0.684 0.427 0.470
Se 0.703 0.904 0.997
Se 0.708 0.431 0.008
Se 0.904 0.703 0.497
Se 0.929 0.185 0.768
Se 0.931 0.209 0.231
Se 0.933 0.654 0.230
Se 0.934 0.678 0.769
Se 0.958 0.161 0.497
Cl 0.181 0.680 0.119
Cl 0.182 0.680 0.870
Cl 0.186 0.670 0.627
Cl 0.187 0.671 0.362
Cl 0.430 0.432 0.137
Cl 0.431 0.432 0.848
Cl 0.432 0.430 0.637
Cl 0.432 0.431 0.348
Cl 0.670 0.186 0.127
Cl 0.671 0.187 0.862
Cl 0.680 0.181 0.619
Cl 0.680 0.182 0.370
Cl 0.920 0.935 0.388
Cl 0.920 0.935 0.605
Cl 0.935 0.920 0.105
Cl 0.935 0.920 0.888
O 0.026 0.534 0.247
O 0.034 0.527 0.991
O 0.039 0.466 0.494
O 0.047 0.274 0.261
O 0.069 0.150 0.739
O 0.087 0.092 0.994
O 0.091 0.317 0.982
O 0.092 0.087 0.494
O 0.124 0.379 0.828
O 0.126 0.375 0.656
O 0.150 0.069 0.239
O 0.153 0.404 0.365
O 0.160 0.403 0.116
O 0.204 0.962 0.627
O 0.212 0.962 0.372
O 0.213 0.295 0.497
O 0.238 0.985 0.084
O 0.241 0.980 0.911
O 0.270 0.281 0.244
O 0.274 0.047 0.761
O 0.281 0.270 0.744
O 0.295 0.213 0.997
O 0.317 0.091 0.482
O 0.325 0.896 0.243
O 0.329 0.836 0.749
O 0.340 0.827 0.491
O 0.375 0.126 0.156
O 0.379 0.124 0.328
O 0.397 0.824 0.994
O 0.403 0.160 0.616
O 0.404 0.153 0.865
O 0.458 0.709 0.865
O 0.461 0.701 0.615
O 0.466 0.039 0.994
O 0.483 0.739 0.328
O 0.487 0.736 0.156
O 0.527 0.034 0.491
O 0.534 0.026 0.747
O 0.539 0.965 0.245
O 0.551 0.769 0.483
O 0.567 0.650 0.998
O 0.581 0.592 0.744
O 0.591 0.815 0.757
O 0.592 0.581 0.244
O 0.623 0.879 0.911
O 0.626 0.875 0.083
O 0.650 0.567 0.498
O 0.652 0.903 0.374
O 0.659 0.902 0.624
O 0.701 0.461 0.115
O 0.709 0.458 0.365
O 0.712 0.794 0.242
O 0.736 0.487 0.656
O 0.739 0.483 0.828
O 0.769 0.551 0.983
O 0.770 0.780 0.495
O 0.780 0.770 0.995
O 0.794 0.712 0.742
O 0.815 0.591 0.257
O 0.824 0.397 0.494
O 0.827 0.340 0.991
O 0.836 0.329 0.249
O 0.875 0.626 0.583
O 0.879 0.623 0.411
O 0.896 0.325 0.743
O 0.902 0.659 0.124
O 0.903 0.652 0.874
O 0.962 0.204 0.127
O 0.962 0.212 0.872
O 0.965 0.539 0.745
O 0.980 0.241 0.411
O 0.985 0.238 0.584
```

Calculated values
Crystal system: monoclinic
Space group: No. 9
Density: 4.8 g/cm3
M_tot: 0.18 Bohr magnetons per cell

<B>
SrNd10Se12Cl8O36: relaxed, PBE-GGA. Values from VASP.

The structure in Quantum ESPRESSO input format:
```
&SYSTEM
  ibrav = 0, nat = 134, ntyp = 5
/
ATOMIC_SPECIES
Sr 87.62 Sr.upf
Nd 144.24 Nd.upf
Se 78.96 Se.upf
Cl 35.45 Cl.upf
O 16.00 O.upf
CELL_PARAMETERS angstrom
13.412 0.000 0.000
0.000 15.647 0.000
-9.746 0.000 13.052
ATOMIC_POSITIONS crystal
Sr 0.000 0.102 0.000
Sr 0.000 0.898 0.500
Nd 0.314 0.117 0.862
Nd 0.314 0.883 0.362
Nd 0.333 0.389 0.660
Nd 0.333 0.611 0.160
Nd 0.610 0.266 0.668
Nd 0.610 0.734 0.168
Nd 0.626 0.000 0.148
Nd 0.626 0.000 0.648
Nd 0.635 0.428 0.902
Nd 0.635 0.572 0.402
Nd 0.645 0.254 0.418
Nd 0.645 0.746 0.918
Nd 0.647 0.090 0.915
Nd 0.647 0.910 0.415
Nd 0.654 0.491 0.164
Nd 0.654 0.509 0.664
Nd 0.656 0.253 0.130
Nd 0.656 0.747 0.630
Nd 0.965 0.390 0.173
Nd 0.965 0.610 0.673
Se 0.277 0.273 0.440
Se 0.277 0.727 0.940
Se 0.345 0.229 0.107
Se 0.345 0.771 0.607
Se 0.408 0.362 0.132
Se 0.408 0.638 0.632
Se 0.414 0.162 0.449
Se 0.414 0.838 0.949
Se 0.432 0.436 0.376
Se 0.432 0.564 0.876
Se 0.438 0.048 0.252
Se 0.438 0.952 0.752
Se 0.840 0.134 0.359
Se 0.840 0.866 0.859
Se 0.847 0.060 0.580
Se 0.847 0.940 0.080
Se 0.862 0.331 0.693
Se 0.862 0.444 0.461
Se 0.862 0.556 0.961
Se 0.862 0.669 0.193
Se 0.914 0.266 0.384
Se 0.914 0.734 0.884
Se 0.983 0.204 0.803
Se 0.983 0.796 0.303
Cl 0.045 0.249 0.123
Cl 0.045 0.751 0.623
Cl 0.136 0.496 0.689
Cl 0.136 0.504 0.189
Cl 0.152 0.429 0.458
Cl 0.152 0.571 0.958
Cl 0.153 0.002 0.204
Cl 0.153 0.998 0.704
Cl 0.156 0.063 0.933
Cl 0.156 0.937 0.433
Cl 0.165 0.182 0.453
Cl 0.165 0.818 0.953
Cl 0.174 0.277 0.861
Cl 0.174 0.723 0.361
Cl 0.264 0.240 0.707
Cl 0.264 0.760 0.207
O 0.419 0.469 0.812
O 0.419 0.531 0.312
O 0.435 0.019 0.986
O 0.435 0.040 0.817
O 0.435 0.960 0.317
O 0.435 0.981 0.486
O 0.439 0.089 0.048
O 0.439 0.911 0.548
O 0.484 0.400 0.616
O 0.484 0.600 0.116
O 0.487 0.370 0.327
O 0.487 0.630 0.827
O 0.492 0.129 0.340
O 0.492 0.871 0.840
O 0.498 0.134 0.578
O 0.498 0.866 0.078
O 0.500 0.370 0.090
O 0.500 0.465 0.691
O 0.500 0.535 0.191
O 0.500 0.630 0.590
O 0.504 0.250 0.468
O 0.504 0.750 0.968
O 0.524 0.308 0.781
O 0.524 0.692 0.281
O 0.526 0.183 0.956
O 0.526 0.817 0.456
O 0.570 0.463 0.491
O 0.570 0.537 0.991
O 0.576 0.017 0.270
O 0.576 0.983 0.770
O 0.627 0.207 0.266
O 0.627 0.793 0.766
O 0.630 0.130 0.042
O 0.630 0.870 0.542
O 0.645 0.154 0.782
O 0.645 0.846 0.282
O 0.649 0.328 0.810
O 0.649 0.672 0.310
O 0.653 0.373 0.044
O 0.653 0.627 0.544
O 0.663 0.294 0.282
O 0.663 0.706 0.782
O 0.703 0.030 0.549
O 0.703 0.970 0.049
O 0.730 0.475 0.341
O 0.730 0.525 0.841
O 0.740 0.267 0.600
O 0.740 0.733 0.100
O 0.758 0.319 0.060
O 0.758 0.681 0.560
O 0.761 0.175 0.876
O 0.761 0.825 0.376
O 0.780 0.115 0.230
O 0.780 0.370 0.737
O 0.780 0.630 0.237
O 0.780 0.885 0.730
O 0.798 0.372 0.496
O 0.798 0.628 0.996
O 0.808 0.146 0.502
O 0.808 0.854 0.002
O 0.813 0.134 0.738
O 0.813 0.866 0.238
O 0.838 0.068 0.804
O 0.838 0.932 0.304
O 0.850 0.022 0.007
O 0.850 0.978 0.507
O 0.852 0.399 0.245
O 0.852 0.480 0.199
O 0.852 0.520 0.699
O 0.852 0.601 0.745
O 0.855 0.462 0.019
O 0.855 0.538 0.519
```

Calculated values
Crystal system: monoclinic
Space group: No. 7
Density: 4.0 g/cm3
M_tot: 2.42 Bohr magnetons per cell

<A> has the most favorable energy; the next structure is 0.751 eV/atom above.